Record 1
Material: BaMg6Cd
Method: DFT, PBE
State: relaxed Values from VASP.

Values from the calculation:
total magnetization	0.0	Bohr magnetons per cell
formation energy	0.0514	eV per atom

Quantum ESPRESSO input file:
```
&SYSTEM
  ibrav = 0, nat = 16, ntyp = 3
/
ATOMIC_SPECIES
Mg 24.30 Mg.upf
Cd 112.41 Cd.upf
Ba 137.33 Ba.upf
CELL_PARAMETERS angstrom
5.170 0.000 0.000
0.000 7.063 0.000
0.000 0.000 12.117
ATOMIC_POSITIONS crystal
Mg 0.500 0.000 0.167
Mg 0.000 0.243 0.580
Mg 0.000 0.743 0.080
Mg 0.500 0.778 0.428
Mg 0.500 0.722 0.928
Mg 0.000 0.500 0.840
Mg 0.500 0.278 0.928
Mg 0.000 0.757 0.580
Mg 0.500 0.222 0.428
Mg 0.000 0.257 0.080
Mg 0.500 0.500 0.667
Mg 0.000 0.000 0.340
Cd 0.500 0.500 0.147
Cd 0.500 0.000 0.647
Ba 0.000 0.500 0.331
Ba 0.000 0.000 0.831
```

***

Record 2
Material: Ba2CdN2
Method: DFT, PBE
State: relaxed Values from VASP.

Values from the calculation:
total magnetization	0.0	Bohr magnetons per cell
space group	No. 139
crystal system	tetragonal
formation energy	-0.3968	eV per atom

Quantum ESPRESSO input file:
```
&SYSTEM
  ibrav = 0, nat = 5, ntyp = 3
/
ATOMIC_SPECIES
Ba 137.33 Ba.upf
N 14.01 N.upf
Cd 112.41 Cd.upf
CELL_PARAMETERS angstrom
3.469 -1.122 2.167
0.058 -3.726 -2.023
2.233 5.184 -5.040
ATOMIC_POSITIONS crystal
Ba 0.161 0.161 0.823
Ba 0.839 0.839 0.177
N 0.351 0.351 0.201
N 0.649 0.649 0.799
Cd 0.500 0.500 0.500
```

***

Record 3
Material: Ba3Nb2CdO9
Method: DFT, PBE
State: relaxed Values from VASP.

Values from the calculation:
total magnetization	0.0	Bohr magnetons per cell
space group	No. 164
crystal system	trigonal
formation energy	-3.0219	eV per atom

Quantum ESPRESSO input file:
```
&SYSTEM
  ibrav = 0, nat = 15, ntyp = 4
/
ATOMIC_SPECIES
O 16.00 O.upf
Nb 92.91 Nb.upf
Ba 137.33 Ba.upf
Cd 112.41 Cd.upf
CELL_PARAMETERS angstrom
2.692 4.601 2.702
-4.908 0.918 -3.283
-4.196 -1.056 5.978
ATOMIC_POSITIONS crystal
O 0.500 0.500 0.000
O 0.352 0.176 0.686
O 0.176 0.824 0.314
O 0.500 0.000 0.000
O 0.176 0.352 0.314
O 0.000 0.500 0.000
O 0.824 0.176 0.686
O 0.648 0.824 0.314
O 0.824 0.648 0.686
Nb 0.667 0.333 0.830
Nb 0.333 0.667 0.170
Ba 0.333 0.667 0.668
Ba 0.667 0.333 0.332
Ba 0.000 0.000 0.000
Cd 0.000 0.000 0.500
```

***

Record 4
Material: BaCdO3
Method: DFT, PBE
State: relaxed Values from VASP.

Values from the calculation:
total magnetization	0.5	Bohr magnetons per cell
space group	No. 221
crystal system	cubic
formation energy	-1.6451	eV per atom

Quantum ESPRESSO input file:
```
&SYSTEM
  ibrav = 0, nat = 5, ntyp = 3
/
ATOMIC_SPECIES
O 16.00 O.upf
Cd 112.41 Cd.upf
Ba 137.33 Ba.upf
CELL_PARAMETERS angstrom
-3.369 -2.454 -1.067
1.407 -0.166 -4.063
2.276 -3.530 0.932
ATOMIC_POSITIONS crystal
O 0.500 0.000 0.500
O 0.000 0.500 0.500
O 0.500 0.500 0.000
Cd 0.500 0.500 0.500
Ba 0.000 0.000 0.000
```

***

Record 5
Material: Ba2CdP3O11
Method: DFT, PBE
State: relaxed Values from VASP.

Values from the calculation:
total magnetization	1.0	Bohr magnetons per cell
space group	No. 8
crystal system	monoclinic
formation energy	-2.8174	eV per atom

Quantum ESPRESSO input file:
```
&SYSTEM
  ibrav = 0, nat = 17, ntyp = 4
/
ATOMIC_SPECIES
O 16.00 O.upf
P 30.97 P.upf
Ba 137.33 Ba.upf
Cd 112.41 Cd.upf
CELL_PARAMETERS angstrom
-5.337 4.989 1.968
-5.286 0.463 5.393
1.278 4.402 5.799
ATOMIC_POSITIONS crystal
O 0.888 0.443 0.013
O 0.146 0.705 0.733
O 0.177 0.177 0.570
O 0.522 0.083 0.227
O 0.579 0.579 0.835
O 0.083 0.522 0.227
O 0.443 0.888 0.013
O 0.991 0.991 0.389
O 0.787 0.787 0.667
O 0.385 0.385 0.418
O 0.705 0.146 0.733
P 0.292 0.292 0.364
P 0.670 0.670 0.890
P 0.912 0.912 0.625
Ba 0.601 0.601 0.428
Ba 0.997 0.997 0.006
Cd 0.300 0.300 0.944
```

***

Record 6
Material: BaCdP2O7
Method: DFT, PBE
State: relaxed Values from VASP.

Values from the calculation:
total magnetization	0.0	Bohr magnetons per cell
space group	No. 2
crystal system	triclinic
formation energy	-2.7962	eV per atom

Quantum ESPRESSO input file:
```
&SYSTEM
  ibrav = 0, nat = 22, ntyp = 4
/
ATOMIC_SPECIES
Cd 112.41 Cd.upf
O 16.00 O.upf
P 30.97 P.upf
Ba 137.33 Ba.upf
CELL_PARAMETERS angstrom
-5.741 0.000 0.000
0.453 7.162 0.000
-0.079 -1.559 -7.616
ATOMIC_POSITIONS crystal
Cd 0.211 0.653 0.901
Cd 0.789 0.347 0.099
O 0.232 0.973 0.789
O 0.474 0.739 0.119
O 0.509 0.394 0.310
O 0.491 0.606 0.690
O 0.067 0.391 0.314
O 0.933 0.609 0.686
O 0.092 0.313 0.892
O 0.526 0.261 0.881
O 0.729 0.862 0.568
O 0.908 0.687 0.108
O 0.267 0.128 0.104
O 0.733 0.872 0.896
O 0.768 0.027 0.211
O 0.271 0.138 0.432
P 0.719 0.832 0.095
P 0.720 0.733 0.703
P 0.280 0.267 0.297
P 0.281 0.168 0.905
Ba 0.763 0.236 0.562
Ba 0.237 0.764 0.438
```

***

Record 7
Material: Ba5Cd2Sb4O2
Method: DFT, PBE
State: relaxed Values from VASP.

Values from the calculation:
total magnetization	0.0	Bohr magnetons per cell
space group	No. 12
crystal system	monoclinic
formation energy	-1.4114	eV per atom

Quantum ESPRESSO input file:
```
&SYSTEM
  ibrav = 0, nat = 13, ntyp = 4
/
ATOMIC_SPECIES
Sb 121.76 Sb.upf
O 16.00 O.upf
Ba 137.33 Ba.upf
Cd 112.41 Cd.upf
CELL_PARAMETERS angstrom
0.000 -5.015 0.000
-8.776 -2.508 0.000
-0.354 -2.508 -9.189
ATOMIC_POSITIONS crystal
Sb 0.393 0.646 0.567
Sb 0.607 0.354 0.433
Sb 0.635 0.720 0.010
Sb 0.365 0.280 0.990
O 0.871 0.946 0.313
O 0.129 0.054 0.687
Ba 0.300 0.050 0.350
Ba 0.975 0.348 0.703
Ba 0.700 0.950 0.650
Ba 0.025 0.652 0.297
Ba 0.000 0.000 0.000
Cd 0.261 0.600 0.877
Cd 0.739 0.400 0.123
```

***

Record 8
Material: Ba3CdSi2O8
Method: DFT, PBE
State: relaxed Values from VASP.

Values from the calculation:
total magnetization	0.0	Bohr magnetons per cell
space group	No. 164
crystal system	trigonal
formation energy	-3.0720	eV per atom

Quantum ESPRESSO input file:
```
&SYSTEM
  ibrav = 0, nat = 14, ntyp = 4
/
ATOMIC_SPECIES
O 16.00 O.upf
Ba 137.33 Ba.upf
Si 28.09 Si.upf
Cd 112.41 Cd.upf
CELL_PARAMETERS angstrom
2.906 -5.034 0.000
2.906 5.034 0.000
0.000 0.000 7.466
ATOMIC_POSITIONS crystal
O 0.641 0.820 0.306
O 0.180 0.820 0.306
O 0.667 0.333 0.993
O 0.359 0.180 0.694
O 0.180 0.359 0.306
O 0.820 0.641 0.694
O 0.333 0.667 0.007
O 0.820 0.180 0.694
Ba 0.333 0.667 0.673
Ba 0.000 0.000 0.000
Ba 0.667 0.333 0.327
Si 0.667 0.333 0.776
Si 0.333 0.667 0.224
Cd 0.000 0.000 0.500
```